# 1
{"formula": "MgCuTeO4", "functional": "PBE", "state": "relaxed", "sg": "P1, No. 1", "final_energy_ev_per_cell": -36.58, "formation_enthalpy_0k_kj_per_mol_fu": -1032, "relative_energy_mev_per_atom": 0.0, "energy_mp2020_ev_per_atom": -5.618, "lattice_angstrom": [[5.8333, -0.9579, -0.5793], [8.6681, 4.8542, -0.6941], [8.6719, 3.2228, 1.9813]], "species": ["Te", "O", "Cu", "O", "Mg", "O", "O"], "frac_coords": [[0.4990, 0.6022, 0.3993], [0.1475, 0.5195, 0.1182], [0.5017, 0.0169, 0.4806], [0.5822, 0.9425, 0.8431], [0.9971, 0.4390, 0.0626], [0.8571, 0.5202, 0.8378], [0.4092, 0.9455, 0.2752]]}

=====

# 2
{"formula": "MgCuTeO4", "functional": "PBE", "state": "relaxed", "sg": "P1, No. 1", "final_energy_ev_per_cell": -36.58, "formation_enthalpy_0k_kj_per_mol_fu": -1032, "relative_energy_mev_per_atom": 0.0, "energy_mp2020_ev_per_atom": -5.618, "lattice_angstrom": [[5.8399, -0.9860, -0.6175], [8.7331, 4.8093, -0.7605], [8.7284, 3.1753, 1.9108]], "species": ["O", "Mg", "Cu", "O", "Te", "O", "O"], "frac_coords": [[0.4217, 0.9386, 0.2721], [0.0067, 0.4361, 0.0592], [0.4915, 0.0196, 0.4896], [0.1359, 0.5233, 0.1230], [0.4996, 0.6014, 0.3953], [0.8442, 0.5216, 0.8467], [0.5942, 0.9450, 0.8307]]}

=====

# 3
{"formula": "MgCuTeO4", "functional": "PBE", "state": "relaxed", "sg": "P1, No. 1", "final_energy_ev_per_cell": -36.37, "formation_enthalpy_0k_kj_per_mol_fu": -1011, "relative_energy_mev_per_atom": 29.8, "energy_mp2020_ev_per_atom": -5.588, "lattice_angstrom": [[-1.8512, -4.5800, -3.3128], [2.3640, -9.4237, -2.3371], [-0.2919, -9.4701, -0.7873]], "species": ["Mg", "Cu", "O", "O", "Te", "O", "O"], "frac_coords": [[0.9982, 0.4980, 0.0030], [0.4998, 0.9977, 0.5016], [0.5852, 0.9967, 0.7926], [0.8548, 0.4981, 0.8626], [0.4989, 0.5005, 0.5004], [0.4105, 0.9966, 0.2169], [0.1464, 0.4981, 0.1396]]}

=====

# 4
{"formula": "Mg6TiCuO8", "functional": "PBE", "state": "relaxed", "sg": "P4/mmm, No. 123", "final_energy_ev_per_cell": -99.59, "formation_enthalpy_0k_kj_per_mol_fu": -4236, "energy_mp2020_ev_per_atom": -6.568, "lattice_angstrom": [[-6.5220, 5.7312, -1.4794], [-2.2906, -1.8125, 3.0769], [1.6977, 2.6632, 2.8327]], "species": ["O", "O", "Cu", "O", "Mg", "O", "Mg", "O", "Mg", "O", "O", "Mg", "Mg", "Ti", "O", "Mg"], "frac_coords": [[0.0000, 0.0000, 0.5000], [0.2459, 0.5000, 0.5000], [0.0000, 0.0000, 0.0000], [0.5000, 0.5000, 0.0000], [0.7472, 0.5000, 0.0000], [0.7337, 0.0000, 0.0000], [0.7472, 0.0000, 0.5000], [0.0000, 0.5000, 0.0000], [0.5000, 0.5000, 0.5000], [0.7541, 0.5000, 0.5000], [0.2663, 0.0000, 0.0000], [0.2527, 0.0000, 0.5000], [0.5000, 0.0000, 0.0000], [0.0000, 0.5000, 0.5000], [0.5000, 0.0000, 0.5000], [0.2527, 0.5000, 0.0000]]}

=====

# 5
{"formula": "Mg6TiCuO8", "functional": "PBE", "state": "relaxed", "sg": "P4/mmm, No. 123", "final_energy_ev_per_cell": -99.62, "formation_enthalpy_0k_kj_per_mol_fu": -4239, "energy_mp2020_ev_per_atom": -6.570, "lattice_angstrom": [[-1.0900, -4.1165, 0.2318], [1.7651, -0.6826, -3.8218], [7.7079, -1.8221, 3.8854]], "species": ["O", "Mg", "O", "Mg", "Mg", "O", "Ti", "O", "Mg", "Cu", "O", "O", "O", "O", "Mg", "Mg"], "frac_coords": [[0.0000, 0.0000, 0.7292], [0.0000, 0.5000, 0.2390], [0.5000, 0.5000, 0.7487], [0.5000, 0.5000, 0.0000], [0.5000, 0.0000, 0.7610], [0.0000, 0.5000, 0.0000], [0.0000, 0.0000, 0.5000], [0.5000, 0.0000, 0.0000], [0.5000, 0.5000, 0.5000], [0.0000, 0.0000, 0.0000], [0.5000, 0.5000, 0.2513], [0.0000, 0.5000, 0.5000], [0.5000, 0.0000, 0.5000], [0.0000, 0.0000, 0.2708], [0.0000, 0.5000, 0.7610], [0.5000, 0.0000, 0.2390]]}

=====

# 6
{"formula": "MgTiCu3O4", "functional": "PBE", "state": "relaxed", "sg": "Cm, No. 8", "final_energy_ev_per_cell": -53.76, "formation_enthalpy_0k_kj_per_mol_fu": -1439, "energy_mp2020_ev_per_atom": -6.278, "lattice_angstrom": [[3.7013, 0.4851, 4.9092], [2.1528, 3.0497, 4.9092], [2.8276, 1.7074, 15.5839]], "species": ["Cu", "O", "Mg", "O", "Cu", "Ti", "O", "Cu", "O"], "frac_coords": [[0.9866, 0.9866, 0.0423], [0.8358, 0.8358, 0.0362], [0.0324, 0.0324, 0.2576], [0.8525, 0.8525, 0.6326], [0.0067, 0.0067, 0.6353], [0.4857, 0.4857, 0.8354], [0.0824, 0.0824, 0.6976], [0.6492, 0.6492, 0.4049], [0.0687, 0.0687, 0.1000]]}

=====

# 7
{"formula": "MgTl2Cu2O4", "functional": "PBE", "state": "relaxed", "sg": "Pm, No. 6", "final_energy_ev_per_cell": -41.95, "formation_enthalpy_0k_kj_per_mol_fu": -1002, "energy_mp2020_ev_per_atom": -4.966, "lattice_angstrom": [[0.0000, -5.5947, 0.0000], [-5.5574, 0.0000, 1.9777], [-0.5730, 0.0000, -5.5375]], "species": ["Cu", "Cu", "O", "O", "O", "Tl", "Mg", "Tl", "O"], "frac_coords": [[0.7500, 0.0514, 0.5664], [0.2500, 0.0906, 0.5812], [0.4904, 0.0232, 0.7998], [0.0096, 0.0232, 0.7998], [0.4938, 0.1182, 0.3479], [0.7500, 0.3448, 0.1133], [0.2500, 0.0482, 0.0757], [0.2500, 0.5989, 0.5973], [0.0062, 0.1182, 0.3479]]}

=====

# 8
{"formula": "Y8MgCu7O20", "functional": "PBE", "state": "relaxed", "sg": "P1, No. 1", "final_energy_ev_per_cell": -264.07, "formation_enthalpy_0k_kj_per_mol_fu": -9343, "energy_mp2020_ev_per_atom": -7.717, "lattice_angstrom": [[0.7585, 2.2746, 2.5928], [5.4235, 6.3044, -7.0510], [-10.6769, 6.3414, -2.3933]], "species": ["O", "O", "Cu", "O", "O", "O", "O", "O", "O", "O", "Mg", "Cu", "O", "O", "O", "Y", "Cu", "O", "Cu", "O", "Cu", "O", "Cu", "Y", "O", "Y", "O", "Y", "O", "O", "Y", "Y", "Y", "Y", "Cu", "O"], "frac_coords": [[0.2236, 0.9248, 0.5724], [0.6521, 0.6216, 0.6738], [0.8426, 0.0099, 0.2236], [0.7270, 0.3252, 0.9818], [0.7257, 0.1782, 0.2686], [0.8526, 0.1228, 0.6718], [0.2293, 0.0773, 0.8623], [0.2168, 0.3219, 0.7691], [0.7826, 0.0712, 0.0789], [0.7688, 0.6807, 0.2776], [0.7621, 0.7507, 0.1251], [0.1567, 0.2602, 0.6192], [0.2753, 0.6717, 0.4841], [0.3522, 0.3783, 0.1735], [0.2804, 0.8217, 0.7689], [0.2725, 0.9603, 0.0064], [0.6624, 0.5157, 0.2264], [0.7727, 0.9288, 0.3598], [0.6618, 0.2403, 0.1204], [0.2728, 0.5763, 0.8649], [0.1587, 0.9865, 0.7242], [0.7294, 0.4239, 0.3635], [0.3423, 0.7589, 0.6208], [0.2681, 0.7915, 0.3406], [0.2779, 0.4253, 0.5747], [0.7784, 0.7085, 0.8367], [0.2305, 0.8558, 0.1658], [0.7190, 0.0415, 0.5088], [0.2217, 0.1731, 0.4801], [0.7273, 0.5758, 0.0764], [0.7201, 0.2095, 0.8348], [0.7797, 0.5407, 0.5091], [0.2241, 0.2930, 0.3357], [0.2230, 0.4603, 0.0111], [0.3405, 0.4868, 0.7256], [0.7694, 0.8313, 0.9787]]}

=====

# 9
{"formula": "MgZn2Cu4O8", "functional": "PBE", "state": "relaxed", "sg": "P1, No. 1", "final_energy_ev_per_cell": -74.26, "formation_enthalpy_0k_kj_per_mol_fu": -1896, "relative_energy_mev_per_atom": 0.0, "energy_mp2020_ev_per_atom": -5.317, "lattice_angstrom": [[-4.4401, 1.8400, -4.2177], [-0.7557, -2.6589, -5.6569], [-4.9761, -3.1983, -1.0125]], "species": ["O", "Cu", "Cu", "Cu", "Cu", "O", "Zn", "O", "O", "O", "O", "O", "O", "Mg", "Zn"], "frac_coords": [[0.3423, 0.2984, 0.8923], [0.6432, 0.5897, 0.1362], [0.6196, 0.1018, 0.6272], [0.2072, 0.5239, 0.1542], [0.6313, 0.6012, 0.6289], [0.4564, 0.3616, 0.3618], [0.1295, 0.5835, 0.6480], [0.9198, 0.9171, 0.3570], [0.8360, 0.4160, 0.8550], [0.9381, 0.3901, 0.3897], [0.4282, 0.7674, 0.4113], [0.3347, 0.7941, 0.8874], [0.8066, 0.8491, 0.8813], [0.1747, 0.0772, 0.2354], [0.9073, 0.0311, 0.9821]]}

=====

# 10
{"formula": "Mg6ZnCuO8", "functional": "PBE", "state": "relaxed", "sg": "P4/mmm, No. 123", "final_energy_ev_per_cell": -90.60, "formation_enthalpy_0k_kj_per_mol_fu": -4009, "relative_energy_mev_per_atom": 0.0, "energy_mp2020_ev_per_atom": -6.006, "lattice_angstrom": [[8.5239, 0.0000, 0.0000], [0.0000, 4.2584, 0.0000], [0.0000, 0.0000, 4.2584]], "species": ["Mg", "O", "Zn", "O", "Mg", "O", "Mg", "O", "Mg", "O", "Mg", "O", "O", "Cu", "Mg", "O"], "frac_coords": [[0.2512, 0.0000, 0.5000], [0.0000, 0.0000, 0.5000], [0.0000, 0.0000, 0.0000], [0.2494, 0.0000, 0.0000], [0.0000, 0.5000, 0.5000], [0.7506, 0.0000, 0.0000], [0.2512, 0.5000, 0.0000], [0.5000, 0.0000, 0.5000], [0.5000, 0.5000, 0.5000], [0.7502, 0.5000, 0.5000], [0.7488, 0.0000, 0.5000], [0.0000, 0.5000, 0.0000], [0.2498, 0.5000, 0.5000], [0.5000, 0.0000, 0.0000], [0.7488, 0.5000, 0.0000], [0.5000, 0.5000, 0.0000]]}

=====

# 11
{"formula": "Mg6ZnCuO8", "functional": "PBE", "state": "relaxed", "sg": "P4/mmm, No. 123", "final_energy_ev_per_cell": -90.46, "formation_enthalpy_0k_kj_per_mol_fu": -3995, "relative_energy_mev_per_atom": 8.6, "energy_mp2020_ev_per_atom": -5.997, "lattice_angstrom": [[8.5242, 0.0000, 0.0000], [0.0000, 4.2601, 0.0000], [0.0000, 0.0000, 4.2601]], "species": ["Zn", "Mg", "O", "O", "Mg", "O", "Mg", "O", "O", "O", "Mg", "Mg", "Mg", "Cu", "O", "O"], "frac_coords": [[0.0000, 0.0000, 0.0000], [0.7519, 0.5000, 0.0000], [0.2525, 0.0000, 0.0000], [0.5000, 0.0000, 0.5000], [0.5000, 0.5000, 0.5000], [0.7481, 0.5000, 0.5000], [0.2481, 0.5000, 0.0000], [0.7475, 0.0000, 0.0000], [0.0000, 0.5000, 0.0000], [0.0000, 0.0000, 0.5000], [0.7519, 0.0000, 0.5000], [0.2481, 0.0000, 0.5000], [0.5000, 0.0000, 0.0000], [0.0000, 0.5000, 0.5000], [0.5000, 0.5000, 0.0000], [0.2519, 0.5000, 0.5000]]}

=====

# 12
{"formula": "MgZn2Cu4O8", "functional": "PBE", "state": "relaxed", "sg": "P1, No. 1", "final_energy_ev_per_cell": -73.39, "formation_enthalpy_0k_kj_per_mol_fu": -1812, "relative_energy_mev_per_atom": 58.2, "energy_mp2020_ev_per_atom": -5.259, "lattice_angstrom": [[-3.7052, -3.7151, 3.3976], [2.3249, -2.7534, 4.6493], [-1.4183, 1.7114, 5.4494]], "species": ["O", "O", "Cu", "O", "O", "Mg", "Cu", "O", "Cu", "O", "Cu", "Zn", "Zn", "O", "O"], "frac_coords": [[0.3887, 0.8739, 0.3698], [0.8626, 0.8811, 0.3781], [0.6254, 0.6259, 0.1267], [0.3895, 0.3727, 0.3711], [0.8019, 0.4016, 0.3992], [0.6219, 0.1297, 0.1261], [0.6247, 0.1286, 0.6243], [0.8619, 0.8808, 0.8791], [0.6262, 0.6254, 0.6236], [0.8635, 0.3784, 0.8797], [0.1542, 0.2741, 0.2815], [0.0921, 0.9666, 0.9691], [0.1215, 0.6247, 0.6262], [0.4522, 0.8499, 0.8493], [0.3888, 0.3719, 0.8711]]}